The following is a DFT calculation (PBE with a Hubbard U) of crystalline Ba2PrCoCu2O7 at its relaxed geometry.

Properties
Total energy ... -6.20 eV/atom
Formation enthalpy at 0 K ... -2187 meV/atom

Structure (POSCAR):
```
Ba2PrCoCu2O7
1.0
3.9244 0.0000 0.0000
0.0000 3.9459 0.0000
0.0000 0.0000 11.9532
Ba Pr Co Cu O
2 1 1 2 7
Cartesian
1.9622 1.9729 2.2028 Ba
1.9622 1.9729 9.7504 Ba
1.9622 1.9729 5.9766 Pr
0.0000 0.0000 0.0000 Co
0.0000 0.0000 4.2542 Cu
0.0000 0.0000 7.6990 Cu
1.9622 0.0000 4.4214 O
1.9622 0.0000 7.5318 O
0.0000 0.0000 1.7925 O
0.0000 0.0000 10.1607 O
0.0000 1.9729 4.4290 O
0.0000 1.9729 7.5242 O
0.0000 1.9729 0.0000 O
```